Model one:
Material: TiCoP2O8
Method: DFT, PBE+U
State: optimized geometry

```
TiCoP2O8
1.0
-1.989 3.115 7.688
-3.827 -5.080 5.684
4.381 -2.650 6.822
Ti Co P O
3 3 6 24
direct
0.356 0.356 0.356 Ti
0.142 0.142 0.142 Ti
0.644 0.644 0.644 Ti
0.998 0.998 0.998 Co
0.858 0.858 0.858 Co
0.498 0.498 0.498 Co
0.751 0.044 0.460 P
0.044 0.460 0.751 P
0.460 0.751 0.044 P
0.546 0.248 0.956 P
0.956 0.546 0.248 P
0.248 0.956 0.546 P
0.881 0.505 0.685 O
0.505 0.685 0.881 O
0.685 0.881 0.505 O
0.912 0.055 0.262 O
0.813 0.010 0.615 O
0.588 0.239 0.436 O
0.055 0.262 0.912 O
0.239 0.436 0.588 O
0.382 0.182 0.004 O
0.436 0.588 0.239 O
0.739 0.090 0.947 O
0.004 0.382 0.182 O
0.010 0.615 0.813 O
0.262 0.912 0.055 O
0.557 0.411 0.761 O
0.615 0.813 0.010 O
0.761 0.557 0.411 O
0.947 0.739 0.090 O
0.411 0.761 0.557 O
0.182 0.004 0.382 O
0.090 0.947 0.739 O
0.319 0.117 0.493 O
0.493 0.319 0.117 O
0.117 0.493 0.319 O
```

Values from the calculation:
Size of the total moment, μB/f.u.: 3.0
Space-group type: No. 146

---

Model two:
Material: TiCoP2O8
Method: DFT, PBE+U
State: optimized geometry

```
TiCoP2O8
1.0
5.781 0.046 1.499
-2.477 0.892 9.510
1.056 -10.369 -3.741
Ti Co P O
4 4 8 32
direct
0.750 0.349 0.225 Ti
0.750 0.848 0.224 Ti
0.250 0.652 0.776 Ti
0.250 0.151 0.776 Ti
0.250 0.118 0.271 Co
0.750 0.882 0.729 Co
0.251 0.619 0.274 Co
0.749 0.381 0.726 Co
0.250 0.271 0.098 P
0.250 0.769 0.098 P
0.750 0.729 0.902 P
0.750 0.231 0.902 P
0.750 0.648 0.400 P
0.750 0.148 0.400 P
0.249 0.352 0.600 P
0.250 0.852 0.600 P
0.752 0.348 0.052 O
0.750 0.847 0.052 O
0.251 0.652 0.948 O
0.250 0.153 0.948 O
0.248 0.428 0.107 O
0.250 0.926 0.108 O
0.749 0.572 0.892 O
0.749 0.074 0.891 O
0.750 0.280 0.360 O
0.751 0.779 0.359 O
0.250 0.720 0.640 O
0.251 0.221 0.641 O
0.248 0.295 0.451 O
0.251 0.799 0.451 O
0.749 0.705 0.549 O
0.752 0.201 0.549 O
0.045 0.236 0.171 O
0.044 0.734 0.170 O
0.455 0.237 0.171 O
0.455 0.737 0.172 O
0.545 0.764 0.829 O
0.545 0.266 0.830 O
0.955 0.763 0.829 O
0.956 0.263 0.828 O
0.553 0.535 0.326 O
0.553 0.035 0.326 O
0.946 0.534 0.327 O
0.947 0.035 0.325 O
0.053 0.465 0.674 O
0.053 0.965 0.675 O
0.446 0.466 0.673 O
0.447 0.965 0.675 O
```

Values from the calculation:
Size of the total moment, μB/f.u.: 3.0
Space-group type: No. 1

---

Most stable one: model two, least stable one: model one.

---

Model one:
Material: ZnCoPO5
Method: DFT, PBE+U
State: optimized geometry

```
ZnCoPO5
1.0
-4.896 -0.929 -1.853
2.813 -1.235 -4.431
1.269 -5.128 4.561
Zn Co P O
2 2 2 10
direct
0.319 0.164 0.772 Zn
0.701 0.837 0.271 Zn
0.005 0.495 0.515 Co
0.004 0.495 0.015 Co
0.665 0.842 0.766 P
0.341 0.145 0.261 P
0.694 0.657 0.901 O
0.862 0.820 0.637 O
0.313 0.326 0.122 O
0.139 0.168 0.385 O
0.638 0.208 0.409 O
0.303 0.849 0.126 O
0.367 0.786 0.622 O
0.709 0.138 0.905 O
0.915 0.583 0.265 O
0.093 0.406 0.762 O
```

Values from the calculation:
Size of the total moment, μB/f.u.: 4.0
Space-group type: No. 1

---

Model two:
Material: ZnCoPO5
Method: DFT, PBE+U
State: optimized geometry

```
ZnCoPO5
1.0
-1.992 2.562 -4.447
-6.491 -2.425 -0.976
-2.470 7.356 -2.240
Zn Co P O
2 2 2 10
direct
0.374 0.239 0.745 Zn
0.620 0.732 0.248 Zn
0.498 0.486 0.996 Co
0.500 0.986 0.995 Co
0.552 0.228 0.325 P
0.447 0.742 0.666 P
0.520 0.051 0.237 O
0.704 0.363 0.134 O
0.481 0.920 0.752 O
0.290 0.610 0.862 O
0.858 0.600 0.366 O
0.149 0.836 0.669 O
0.141 0.368 0.627 O
0.852 0.134 0.321 O
0.485 0.737 0.082 O
0.514 0.234 0.907 O
```

Values from the calculation:
Size of the total moment, μB/f.u.: 4.0
Space-group type: No. 1

---

Most stable one: model two, least stable one: model one.